# 1
Density functional theory data (PBE with a Hubbard U) for a relaxed Li2VNiO4 crystal.

Results
E above lowest polymorph = 0 meV per atom

Cell lengths 5.891, 5.891, 5.936 Å; angles 120.15, 120.15, 89.01 degrees
Element x y z (fractional)
Li 0.000 0.000 0.000
Li 0.000 0.000 0.500
Li 0.000 0.500 0.000
Li 0.500 0.000 0.500
V 0.500 0.500 0.000
V 0.500 0.500 0.500
Ni 0.000 0.500 0.500
Ni 0.500 0.000 0.000
O 0.266 0.269 0.018
O 0.269 0.266 0.518
O 0.270 0.729 0.993
O 0.271 0.730 0.507
O 0.729 0.270 0.493
O 0.730 0.271 0.007
O 0.731 0.734 0.482
O 0.734 0.731 0.982

=====

# 2
Density functional theory data (PBE with a Hubbard U) for a relaxed Li3V2Ni2O8 crystal.

Cell lengths 5.900, 5.900, 5.897 Å; angles 119.81, 119.81, 60.76 degrees
Element x y z (fractional)
Li 0.000 0.000 0.000
Li 0.000 0.500 0.000
Li 0.500 0.000 0.000
V 0.500 0.500 0.000
V 0.500 0.500 0.500
Ni 0.000 0.500 0.500
Ni 0.500 0.000 0.500
O 0.271 0.271 0.278
O 0.275 0.275 0.768
O 0.277 0.721 0.235
O 0.279 0.723 0.765
O 0.721 0.277 0.235
O 0.723 0.279 0.765
O 0.725 0.725 0.232
O 0.729 0.729 0.722

=====

# 3
Density functional theory data (PBE with a Hubbard U) for a relaxed Li4V5Ni3O16 crystal.

Cell lengths 5.894, 5.895, 9.542 Å; angles 89.54, 89.89, 60.15 degrees
Element x y z (fractional)
Li 0.000 0.000 0.000
Li 0.001 0.997 0.508
Li 0.325 0.334 0.098
Li 0.649 0.653 0.596
V 0.178 0.181 0.758
V 0.337 0.846 0.280
V 0.357 0.339 0.500
V 0.664 0.662 0.995
V 0.828 0.354 0.274
Ni 0.167 0.657 0.790
Ni 0.651 0.173 0.788
Ni 0.832 0.826 0.284
O 0.006 0.012 0.703
O 0.023 0.464 0.651
O 0.166 0.171 0.394
O 0.183 0.670 0.397
O 0.304 0.309 0.892
O 0.348 0.824 0.909
O 0.462 0.477 0.649
O 0.464 0.026 0.652
O 0.498 0.960 0.157
O 0.517 0.520 0.153
O 0.659 0.169 0.404
O 0.665 0.643 0.393
O 0.818 0.354 0.906
O 0.819 0.826 0.914
O 0.949 0.518 0.147
O 0.990 0.020 0.190

=====

# 4
Density functional theory data (PBE with a Hubbard U) for a relaxed Li7V6Ni5O24 crystal.

Cell lengths 5.835, 5.898, 13.052 Å; angles 77.44, 77.25, 89.74 degrees
Element x y z (fractional)
Li 0.000 0.000 0.000
Li 0.162 0.166 0.168
Li 0.166 0.669 0.668
Li 0.333 0.331 0.332
Li 0.667 0.669 0.668
Li 0.834 0.331 0.332
Li 0.838 0.834 0.832
V 0.042 0.791 0.416
V 0.294 0.538 0.918
V 0.376 0.128 0.748
V 0.624 0.872 0.252
V 0.706 0.462 0.082
V 0.958 0.209 0.584
Ni 0.163 0.665 0.168
Ni 0.500 0.000 0.000
Ni 0.500 0.000 0.500
Ni 0.500 0.500 0.500
Ni 0.837 0.335 0.832
O 0.081 0.066 0.340
O 0.084 0.593 0.333
O 0.087 0.576 0.838
O 0.092 0.091 0.829
O 0.251 0.250 0.502
O 0.254 0.747 0.001
O 0.255 0.750 0.499
O 0.259 0.257 0.996
O 0.417 0.927 0.666
O 0.418 0.405 0.665
O 0.419 0.912 0.166
O 0.424 0.424 0.164
O 0.576 0.576 0.836
O 0.581 0.088 0.834
O 0.582 0.595 0.335
O 0.583 0.073 0.334
O 0.741 0.743 0.004
O 0.745 0.250 0.501
O 0.746 0.253 0.999
O 0.749 0.750 0.498
O 0.908 0.909 0.171
O 0.913 0.424 0.162
O 0.916 0.407 0.667
O 0.919 0.934 0.660

=====

# 5
Density functional theory data (PBE with a Hubbard U) for a relaxed Li4V3NiO8 crystal.

Results
E above lowest polymorph = 17 meV per atom

Cell lengths 5.960, 5.960, 5.965 Å; angles 119.91, 119.91, 59.76 degrees
Element x y z (fractional)
Li 0.000 0.000 0.000
Li 0.000 0.500 0.000
Li 0.500 0.000 0.000
Li 0.500 0.500 0.000
V 0.000 0.000 0.500
V 0.000 0.500 0.500
V 0.500 0.000 0.500
Ni 0.500 0.500 0.500
O 0.228 0.763 0.727
O 0.237 0.772 0.273
O 0.240 0.240 0.735
O 0.254 0.254 0.274
O 0.746 0.746 0.726
O 0.760 0.760 0.265
O 0.763 0.228 0.727
O 0.772 0.237 0.273

=====

# 6
Density functional theory data (PBE with a Hubbard U) for a relaxed Li4V3NiO8 crystal.

Results
E above lowest polymorph = 0 meV per atom

Cell lengths 5.922, 5.922, 5.922 Å; angles 58.70, 58.70, 58.70 degrees
Element x y z (fractional)
Li 0.000 0.000 0.000
Li 0.000 0.500 0.500
Li 0.500 0.000 0.500
Li 0.500 0.500 0.000
V 0.000 0.000 0.500
V 0.000 0.500 0.000
V 0.500 0.000 0.000
Ni 0.500 0.500 0.500
O 0.232 0.749 0.749
O 0.245 0.245 0.245
O 0.251 0.251 0.768
O 0.251 0.768 0.251
O 0.749 0.232 0.749
O 0.749 0.749 0.232
O 0.755 0.755 0.755
O 0.768 0.251 0.251

=====

# 7
Density functional theory data (PBE with a Hubbard U) for a relaxed Li2VNiO4 crystal.

Results
E above lowest polymorph = 3 meV per atom

Cell lengths 5.136, 5.877, 7.787 Å; angles 79.27, 71.01, 89.84 degrees
Element x y z (fractional)
Li 0.003 0.241 0.003
Li 0.331 0.077 0.668
Li 0.335 0.586 0.667
Li 0.665 0.414 0.333
Li 0.669 0.923 0.332
Li 0.997 0.759 0.997
V 0.165 0.676 0.335
V 0.500 0.500 0.000
V 0.835 0.324 0.665
Ni 0.166 0.167 0.333
Ni 0.500 0.000 0.000
Ni 0.834 0.833 0.667
O 0.090 0.948 0.174
O 0.106 0.474 0.172
O 0.226 0.385 0.502
O 0.246 0.861 0.488
O 0.427 0.768 0.845
O 0.439 0.301 0.832
O 0.561 0.699 0.168
O 0.573 0.232 0.155
O 0.754 0.139 0.512
O 0.774 0.615 0.498
O 0.894 0.526 0.828
O 0.910 0.052 0.826

=====

# 8
Density functional theory data (PBE with a Hubbard U) for a relaxed Li4VNi3O8 crystal.

Results
E above lowest polymorph = 11 meV per atom

Cell lengths 5.880, 5.880, 5.880 Å; angles 59.97, 59.97, 59.97 degrees
Element x y z (fractional)
Li 0.000 0.000 0.000
Li 0.005 0.498 0.498
Li 0.498 0.005 0.498
Li 0.498 0.498 0.005
V 0.504 0.504 0.504
Ni 0.004 0.004 0.504
Ni 0.004 0.504 0.004
Ni 0.504 0.004 0.004
O 0.246 0.246 0.246
O 0.267 0.267 0.738
O 0.267 0.738 0.267
O 0.270 0.741 0.741
O 0.738 0.267 0.267
O 0.741 0.270 0.741
O 0.741 0.741 0.270
O 0.762 0.762 0.762

=====

# 9
Density functional theory data (PBE with a Hubbard U) for a relaxed Li4V3NiO8 crystal.

Results
E above lowest polymorph = 129 meV per atom

Cell lengths 5.928, 5.939, 5.958 Å; angles 119.62, 90.68, 119.35 degrees
Element x y z (fractional)
Li 0.000 0.000 0.000
Li 0.000 0.500 0.000
Li 0.500 0.000 0.000
Li 0.500 0.500 0.000
V 0.000 0.000 0.500
V 0.000 0.500 0.500
V 0.500 0.000 0.500
Ni 0.500 0.500 0.500
O 0.215 0.473 0.265
O 0.219 0.974 0.274
O 0.281 0.544 0.727
O 0.289 0.017 0.727
O 0.711 0.983 0.273
O 0.719 0.456 0.273
O 0.781 0.026 0.726
O 0.785 0.527 0.735

=====

# 10
Density functional theory data (PBE with a Hubbard U) for a relaxed Li5V2Ni5O12 crystal.

Cell lengths 5.131, 5.131, 9.782 Å; angles 95.39, 95.39, 121.26 degrees
Element x y z (fractional)
Li 0.000 0.000 0.000
Li 0.090 0.405 0.245
Li 0.246 0.246 0.753
Li 0.595 0.910 0.755
Li 0.754 0.754 0.247
V 0.173 0.827 0.500
V 0.668 0.332 0.000
Ni 0.339 0.661 0.000
Ni 0.414 0.075 0.247
Ni 0.502 0.498 0.500
Ni 0.842 0.158 0.500
Ni 0.925 0.586 0.753
O 0.024 0.678 0.115
O 0.134 0.104 0.378
O 0.210 0.552 0.622
O 0.322 0.976 0.885
O 0.406 0.371 0.116
O 0.448 0.790 0.378
O 0.528 0.184 0.615
O 0.629 0.594 0.884
O 0.702 0.061 0.116
O 0.816 0.472 0.385
O 0.896 0.866 0.622
O 0.939 0.298 0.884

=====

# 11
Density functional theory data (PBE with a Hubbard U) for a relaxed LiV4Ni2O12 crystal.

Results
E above lowest polymorph = 0 meV per atom

Cell lengths 5.742, 6.737, 6.927 Å; angles 81.93, 76.19, 72.64 degrees
Element x y z (fractional)
Li 0.000 0.000 0.000
V 0.031 0.545 0.824
V 0.072 0.087 0.435
V 0.569 0.329 0.012
V 0.592 0.890 0.607
Ni 0.094 0.625 0.300
Ni 0.589 0.788 0.138
O 0.060 0.329 0.342
O 0.113 0.644 0.584
O 0.181 0.925 0.238
O 0.269 0.018 0.620
O 0.353 0.367 0.864
O 0.470 0.521 0.183
O 0.618 0.080 0.127
O 0.633 0.750 0.829
O 0.691 0.735 0.414
O 0.761 0.083 0.559
O 0.881 0.317 0.881
O 0.975 0.698 0.039

=====

# 12
Density functional theory data (PBE with a Hubbard U) for a relaxed Li2VNiO4 crystal.

Results
E above lowest polymorph = 8 meV per atom

Cell lengths 5.878, 5.904, 5.907 Å; angles 89.95, 60.28, 60.28 degrees
Element x y z (fractional)
Li 0.000 0.000 0.000
Li 0.000 0.000 0.500
Li 0.500 0.000 0.000
Li 0.500 0.500 0.000
V 0.000 0.500 0.500
V 0.500 0.500 0.500
Ni 0.000 0.500 0.000
Ni 0.500 0.000 0.500
O 0.005 0.274 0.724
O 0.025 0.733 0.731
O 0.488 0.271 0.269
O 0.492 0.263 0.738
O 0.508 0.737 0.262
O 0.512 0.729 0.731
O 0.975 0.267 0.269
O 0.995 0.726 0.276

=====

no.,DFT formation energy (eV per formula unit),MP2020-corrected energy (eV for the cell shown)
1,-17.16,-111.268
2,-31.02,-106.061
3,-60.37,-209.934
4,-89.25,-304.768
5,-36.28,-116.527
6,-36.54,-116.795
7,-17.13,-166.821
8,-29.36,-103.006
9,-34.47,-114.725
10,-45.51,-161.502
11,-38.20,-147.379
12,-17.10,-111.141